The following is a DFT calculation (GGA+U) of a relaxed NaVPCO7 crystal.

abc: 6.303 10.669 10.531
angles: 117.92 90.00 90.00
Sites, in units of the cell vectors:
Na 0.469 0.227 0.224
Na 0.469 0.727 0.224
Na 0.969 0.773 0.777
Na 0.969 0.273 0.776
V 0.772 0.063 0.338
V 0.272 0.937 0.662
V 0.772 0.563 0.338
V 0.272 0.437 0.662
P 0.264 0.582 0.443
P 0.264 0.082 0.443
P 0.764 0.418 0.557
P 0.764 0.918 0.557
C 0.740 0.401 0.086
C 0.740 0.902 0.086
C 0.240 0.599 0.914
C 0.240 0.098 0.914
O 0.242 0.181 0.043
O 0.242 0.681 0.043
O 0.742 0.819 0.957
O 0.742 0.319 0.957
O 0.744 0.544 0.145
O 0.744 0.044 0.146
O 0.244 0.456 0.855
O 0.244 0.956 0.854
O 0.735 0.365 0.192
O 0.735 0.865 0.192
O 0.235 0.635 0.808
O 0.235 0.135 0.808
O 0.064 0.564 0.346
O 0.064 0.064 0.346
O 0.564 0.436 0.654
O 0.564 0.936 0.654
O 0.454 0.572 0.347
O 0.454 0.072 0.347
O 0.954 0.428 0.653
O 0.954 0.928 0.653
O 0.751 0.275 0.421
O 0.751 0.775 0.421
O 0.251 0.725 0.579
O 0.251 0.225 0.579
O 0.264 0.457 0.480
O 0.265 0.957 0.480
O 0.764 0.543 0.520
O 0.765 0.043 0.520

Computed properties:
E_tot: -7.19 eV/atom
E_form: -2.357 eV/atom


The following is a DFT calculation (GGA+U) of a relaxed Na3VPCO7 crystal.

abc: 8.654 8.653 8.916
angles: 90.94 89.06 76.91
Sites, in units of the cell vectors:
Na 0.744 0.743 0.000
Na 0.244 0.243 0.000
Na 0.493 0.494 0.000
Na 0.993 0.994 0.000
Na 0.339 0.895 0.162
Na 0.839 0.395 0.162
Na 0.645 0.089 0.838
Na 0.145 0.589 0.838
Na 0.491 0.995 0.499
Na 0.991 0.495 0.499
Na 0.745 0.241 0.501
Na 0.245 0.741 0.501
V 0.893 0.843 0.280
V 0.093 0.143 0.720
V 0.393 0.343 0.280
V 0.593 0.643 0.720
P 0.611 0.626 0.343
P 0.111 0.126 0.343
P 0.376 0.361 0.657
P 0.876 0.861 0.657
C 0.619 0.118 0.164
C 0.119 0.618 0.164
C 0.368 0.869 0.836
C 0.868 0.369 0.836
O 0.526 0.211 0.070
O 0.026 0.711 0.070
O 0.461 0.776 0.930
O 0.961 0.276 0.930
O 0.733 0.004 0.113
O 0.233 0.504 0.113
O 0.254 0.983 0.887
O 0.754 0.483 0.887
O 0.067 0.987 0.249
O 0.567 0.487 0.249
O 0.737 0.817 0.751
O 0.237 0.317 0.751
O 0.250 0.169 0.250
O 0.750 0.669 0.250
O 0.919 0.000 0.750
O 0.419 0.500 0.750
O 0.593 0.144 0.306
O 0.093 0.644 0.306
O 0.394 0.843 0.694
O 0.894 0.343 0.694
O 0.468 0.769 0.358
O 0.968 0.269 0.358
O 0.519 0.218 0.642
O 0.019 0.718 0.642
O 0.174 0.063 0.498
O 0.674 0.563 0.498
O 0.813 0.924 0.502
O 0.313 0.424 0.502

Computed properties:
E_tot: -6.64 eV/atom
E_form: -2.348 eV/atom


The following is a DFT calculation (GGA+U) of a relaxed Na3VPCO7 crystal.

abc: 5.388 13.544 8.921
angles: 90.00 88.52 90.01
Sites, in units of the cell vectors:
Na 0.001 0.244 0.001
Na 0.001 0.744 0.001
Na 0.999 0.494 0.999
Na 0.999 0.994 0.000
Na 0.445 0.115 0.162
Na 0.445 0.615 0.162
Na 0.555 0.365 0.838
Na 0.555 0.865 0.838
Na 0.498 0.243 0.498
Na 0.498 0.743 0.498
Na 0.502 0.493 0.502
Na 0.502 0.993 0.502
V 0.048 0.869 0.280
V 0.952 0.619 0.720
V 0.048 0.369 0.280
V 0.952 0.119 0.720
P 0.985 0.118 0.344
P 0.985 0.618 0.344
P 0.015 0.368 0.656
P 0.015 0.868 0.656
C 0.498 0.369 0.163
C 0.498 0.869 0.163
C 0.502 0.119 0.837
C 0.502 0.619 0.837
O 0.313 0.369 0.070
O 0.313 0.869 0.070
O 0.687 0.119 0.930
O 0.687 0.619 0.930
O 0.727 0.369 0.112
O 0.727 0.869 0.112
O 0.273 0.119 0.888
O 0.273 0.619 0.888
O 0.079 0.027 0.250
O 0.079 0.527 0.250
O 0.921 0.277 0.750
O 0.921 0.777 0.751
O 0.079 0.210 0.250
O 0.079 0.710 0.250
O 0.921 0.460 0.750
O 0.921 0.960 0.750
O 0.447 0.369 0.305
O 0.447 0.869 0.305
O 0.553 0.119 0.695
O 0.553 0.619 0.695
O 0.699 0.118 0.359
O 0.699 0.618 0.359
O 0.301 0.368 0.641
O 0.301 0.868 0.641
O 0.112 0.119 0.498
O 0.112 0.619 0.498
O 0.888 0.369 0.502
O 0.888 0.869 0.502

Computed properties:
E_tot: -6.64 eV/atom
E_form: -2.348 eV/atom


The following is a DFT calculation (GGA+U) of a relaxed Na4V2PC4O16 crystal.

abc: 10.031 10.027 9.841
angles: 60.64 60.60 58.76
Sites, in units of the cell vectors:
Na 0.083 0.667 0.083
Na 0.084 0.666 0.666
Na 0.333 0.917 0.333
Na 0.334 0.916 0.916
Na 0.666 0.084 0.084
Na 0.667 0.083 0.667
Na 0.916 0.334 0.334
Na 0.917 0.333 0.917
V 0.000 0.500 0.500
V 0.500 0.000 0.500
V 0.500 0.500 0.000
V 0.500 0.500 0.500
P 0.125 0.125 0.125
P 0.875 0.875 0.875
C 0.279 0.639 0.290
C 0.290 0.293 0.279
C 0.293 0.290 0.639
C 0.361 0.721 0.707
C 0.639 0.279 0.293
C 0.707 0.710 0.361
C 0.710 0.707 0.721
C 0.721 0.361 0.710
O 0.055 0.316 0.065
O 0.063 0.065 0.316
O 0.065 0.063 0.055
O 0.139 0.636 0.318
O 0.144 0.326 0.387
O 0.148 0.401 0.645
O 0.306 0.645 0.401
O 0.316 0.055 0.063
O 0.318 0.407 0.139
O 0.326 0.144 0.643
O 0.355 0.694 0.852
O 0.357 0.613 0.674
O 0.364 0.861 0.593
O 0.387 0.643 0.144
O 0.401 0.148 0.306
O 0.407 0.318 0.636
O 0.593 0.682 0.364
O 0.599 0.852 0.694
O 0.613 0.357 0.856
O 0.636 0.139 0.407
O 0.643 0.387 0.326
O 0.645 0.306 0.148
O 0.674 0.856 0.357
O 0.682 0.593 0.861
O 0.684 0.945 0.937
O 0.694 0.355 0.599
O 0.852 0.599 0.355
O 0.856 0.674 0.613
O 0.861 0.364 0.682
O 0.935 0.937 0.945
O 0.937 0.935 0.684
O 0.945 0.684 0.935

Computed properties:
E_tot: -6.97 eV/atom
E_form: -2.131 eV/atom


The following is a DFT calculation (GGA+U) of a relaxed NaVPCO7 crystal.

abc: 5.474 6.433 17.342
angles: 90.00 88.13 90.00
Sites, in units of the cell vectors:
Na 0.778 0.250 0.039
Na 0.778 0.250 0.539
Na 0.222 0.750 0.461
Na 0.222 0.750 0.961
V 0.773 0.750 0.669
V 0.227 0.250 0.831
V 0.773 0.750 0.169
V 0.227 0.250 0.331
P 0.739 0.250 0.217
P 0.739 0.250 0.717
P 0.261 0.750 0.283
P 0.261 0.750 0.783
C 0.698 0.750 0.031
C 0.698 0.750 0.530
C 0.302 0.250 0.469
C 0.302 0.250 0.970
O 0.344 0.250 0.039
O 0.345 0.250 0.539
O 0.656 0.750 0.461
O 0.655 0.750 0.961
O 0.920 0.750 0.060
O 0.920 0.750 0.560
O 0.080 0.250 0.440
O 0.080 0.250 0.940
O 0.528 0.750 0.087
O 0.528 0.750 0.587
O 0.472 0.250 0.413
O 0.472 0.250 0.913
O 0.073 0.750 0.218
O 0.073 0.750 0.718
O 0.927 0.250 0.282
O 0.927 0.250 0.782
O 0.479 0.250 0.255
O 0.480 0.250 0.755
O 0.521 0.750 0.245
O 0.520 0.750 0.745
O 0.776 0.060 0.164
O 0.775 0.060 0.664
O 0.776 0.440 0.164
O 0.775 0.440 0.664
O 0.224 0.560 0.336
O 0.225 0.560 0.836
O 0.224 0.940 0.336
O 0.225 0.940 0.836

Computed properties:
E_tot: -7.19 eV/atom
E_form: -2.361 eV/atom


The following is a DFT calculation (GGA+U) of a relaxed Na3VPCO7 crystal.

abc: 5.293 6.830 8.980
angles: 90.00 92.01 90.00
Sites, in units of the cell vectors:
Na 0.224 0.250 0.084
Na 0.258 0.511 0.726
Na 0.258 0.989 0.726
Na 0.742 0.011 0.274
Na 0.742 0.489 0.274
Na 0.776 0.750 0.916
V 0.221 0.750 0.344
V 0.779 0.250 0.656
P 0.282 0.250 0.413
P 0.718 0.750 0.587
C 0.293 0.750 0.057
C 0.707 0.250 0.943
O 0.068 0.750 0.112
O 0.151 0.250 0.565
O 0.205 0.068 0.317
O 0.205 0.432 0.317
O 0.324 0.750 0.915
O 0.425 0.750 0.557
O 0.488 0.750 0.152
O 0.512 0.250 0.848
O 0.575 0.250 0.443
O 0.676 0.250 0.085
O 0.795 0.568 0.683
O 0.795 0.932 0.683
O 0.849 0.750 0.435
O 0.932 0.250 0.888

Computed properties:
E_tot: -6.67 eV/atom
E_form: -2.373 eV/atom


The following is a DFT calculation (GGA+U) of a relaxed Na5V2PC4O16 crystal.

abc: 10.016 9.943 9.892
angles: 60.66 59.92 59.42
Sites, in units of the cell vectors:
Na 0.000 0.000 0.000
Na 0.250 0.250 0.250
Na 0.260 0.839 0.258
Na 0.261 0.840 0.644
Na 0.606 0.995 0.989
Na 0.607 0.992 0.411
Na 0.839 0.260 0.643
Na 0.840 0.261 0.255
Na 0.992 0.607 0.990
Na 0.995 0.606 0.410
V 0.421 0.422 0.331
V 0.422 0.421 0.825
V 0.425 0.919 0.828
V 0.919 0.425 0.829
P 0.049 0.049 0.451
P 0.799 0.799 0.201
C 0.203 0.560 0.621
C 0.208 0.210 0.968
C 0.210 0.208 0.614
C 0.282 0.636 0.042
C 0.560 0.203 0.616
C 0.629 0.634 0.047
C 0.634 0.629 0.690
C 0.636 0.282 0.040
O 0.063 0.557 0.733
O 0.066 0.237 0.971
O 0.066 0.322 0.642
O 0.232 0.563 0.475
O 0.237 0.066 0.726
O 0.237 0.322 0.970
O 0.243 0.986 0.386
O 0.279 0.524 0.184
O 0.280 0.608 0.928
O 0.280 0.779 0.013
O 0.313 0.567 0.647
O 0.322 0.066 0.970
O 0.322 0.237 0.471
O 0.517 0.604 0.187
O 0.520 0.775 0.687
O 0.524 0.279 0.013
O 0.557 0.063 0.646
O 0.563 0.232 0.730
O 0.567 0.313 0.473
O 0.603 0.777 0.937
O 0.604 0.517 0.693
O 0.608 0.280 0.184
O 0.608 0.872 0.259
O 0.775 0.520 0.018
O 0.777 0.603 0.683
O 0.779 0.280 0.928
O 0.864 0.865 0.007
O 0.865 0.864 0.264
O 0.872 0.608 0.260
O 0.986 0.243 0.385
O 0.990 0.991 0.378
O 0.991 0.990 0.642

Computed properties:
E_tot: -6.88 eV/atom
E_form: -2.171 eV/atom


The following is a DFT calculation (GGA+U) of a relaxed NaVCSO7 crystal.

abc: 5.308 6.460 9.789
angles: 90.04 93.35 90.02
Sites, in units of the cell vectors:
Na 0.000 0.000 0.000
Na 0.422 0.500 0.689
V 0.439 0.267 0.194
V 0.982 0.768 0.495
C 0.517 0.250 0.951
C 0.905 0.751 0.738
S 0.470 0.766 0.274
S 0.951 0.266 0.414
O 0.003 0.082 0.503
O 0.031 0.448 0.501
O 0.098 0.260 0.290
O 0.134 0.766 0.693
O 0.287 0.265 0.996
O 0.324 0.760 0.399
O 0.391 0.947 0.187
O 0.419 0.581 0.187
O 0.574 0.251 0.830
O 0.678 0.281 0.375
O 0.690 0.234 0.058
O 0.731 0.735 0.631
O 0.744 0.781 0.313
O 0.848 0.751 0.859

Computed properties:
E_tot: -6.75 eV/atom
E_form: -2.032 eV/atom